VASP calculation (PBE+U) on crystalline VH10C2S2O12F6 at its relaxed geometry.

Cell and atoms, written as POSCAR:
```
VH10C2S2O12F6
1.0
9.918 0.000 0.000
0.000 7.993 0.000
-2.044 0.000 10.325
V H C S O F
2 20 4 4 24 12
Direct
0.182 0.250 0.049
0.818 0.750 0.951
0.084 0.070 0.223
0.084 0.430 0.223
0.187 0.015 0.868
0.187 0.485 0.868
0.207 0.540 0.183
0.207 0.960 0.183
0.343 0.074 0.918
0.343 0.426 0.918
0.459 0.150 0.163
0.459 0.350 0.163
0.541 0.650 0.837
0.541 0.850 0.837
0.657 0.574 0.082
0.657 0.926 0.082
0.793 0.040 0.817
0.793 0.460 0.817
0.813 0.515 0.132
0.813 0.985 0.132
0.916 0.570 0.777
0.916 0.930 0.777
0.116 0.750 0.524
0.453 0.250 0.639
0.547 0.750 0.361
0.884 0.250 0.476
0.146 0.750 0.706
0.455 0.750 0.189
0.545 0.250 0.811
0.854 0.250 0.294
0.025 0.250 0.968
0.077 0.596 0.738
0.077 0.904 0.738
0.171 0.074 0.190
0.171 0.426 0.190
0.251 0.062 0.943
0.251 0.438 0.943
0.294 0.750 0.746
0.308 0.750 0.195
0.403 0.250 0.139
0.497 0.096 0.864
0.497 0.404 0.864
0.503 0.596 0.136
0.503 0.904 0.136
0.597 0.750 0.861
0.692 0.250 0.805
0.706 0.250 0.254
0.749 0.562 0.057
0.749 0.938 0.057
0.829 0.574 0.810
0.829 0.926 0.810
0.923 0.096 0.262
0.923 0.404 0.262
0.975 0.750 0.032
0.019 0.250 0.530
0.175 0.613 0.483
0.175 0.887 0.483
0.316 0.250 0.634
0.487 0.113 0.578
0.487 0.387 0.578
0.513 0.613 0.422
0.513 0.887 0.422
0.684 0.750 0.366
0.825 0.113 0.517
0.825 0.387 0.517
0.981 0.750 0.470
```

Properties
- Formation energy from the elements: -1623.3 meV per atom
- Magnetic moment: 1.00 μB/f.u.
- Uncorrected energy: -5.499 eV/atom